Record 1
Density functional theory data (GGA-PBE) for SmB2C2 after structural relaxation.

Summary:
Size of the total moment (μB/atom): 0.00
Crystal system: tetragonal

```
data_SmB2C2
_symmetry_space_group_name_H-M 'P 1'
_symmetry_Int_Tables_number 1
_cell_length_a 3.815
_cell_length_b 3.815
_cell_length_c 7.516
_cell_angle_alpha 90.00
_cell_angle_beta 90.00
_cell_angle_gamma 90.00
loop_
_symmetry_equiv_pos_as_xyz
'x,y,z'
loop_
_atom_site_label
_atom_site_type_symbol
_atom_site_fract_x
_atom_site_fract_y
_atom_site_fract_z
Sm1 Sm 0.000 0.000 0.250
Sm2 Sm 0.000 0.000 0.750
B1 B 0.216 0.500 0.000
B2 B 0.500 0.216 0.500
B3 B 0.500 0.784 0.500
B4 B 0.784 0.500 0.000
C1 C 0.187 0.500 0.500
C2 C 0.500 0.187 0.000
C3 C 0.500 0.813 0.000
C4 C 0.813 0.500 0.500
```

---

Record 2
Density functional theory data (GGA-PBE) for LiCO2 after structural relaxation.

Summary:
Size of the total moment (μB/atom): 0.00
MP2020-corrected energy (eV/atom): -7.22
Crystal system: monoclinic

```
data_LiCO2
_symmetry_space_group_name_H-M 'P 1'
_symmetry_Int_Tables_number 1
_cell_length_a 3.572
_cell_length_b 5.200
_cell_length_c 9.533
_cell_angle_alpha 90.00
_cell_angle_beta 107.29
_cell_angle_gamma 90.00
loop_
_symmetry_equiv_pos_as_xyz
'x,y,z'
loop_
_atom_site_label
_atom_site_type_symbol
_atom_site_fract_x
_atom_site_fract_y
_atom_site_fract_z
Li1 Li 0.161 0.013 0.209
Li2 Li 0.161 0.487 0.709
Li3 Li 0.839 0.513 0.291
Li4 Li 0.839 0.987 0.791
C1 C 0.400 0.131 0.507
C2 C 0.400 0.369 0.007
C3 C 0.600 0.631 0.993
C4 C 0.600 0.869 0.493
O1 O 0.161 0.219 0.391
O2 O 0.161 0.281 0.891
O3 O 0.493 0.234 0.634
O4 O 0.493 0.266 0.134
O5 O 0.507 0.734 0.866
O6 O 0.507 0.766 0.366
O7 O 0.839 0.719 0.109
O8 O 0.839 0.781 0.609
```

---

Record 3
Density functional theory data (GGA-PBE) for LaH2 after structural relaxation.

Summary:
MP2020-corrected energy (eV/atom): -4.65
Crystal system: cubic

```
data_LaH2
_symmetry_space_group_name_H-M 'P 1'
_symmetry_Int_Tables_number 1
_cell_length_a 3.999
_cell_length_b 3.999
_cell_length_c 3.999
_cell_angle_alpha 60.00
_cell_angle_beta 60.00
_cell_angle_gamma 60.00
loop_
_symmetry_equiv_pos_as_xyz
'x,y,z'
loop_
_atom_site_label
_atom_site_type_symbol
_atom_site_fract_x
_atom_site_fract_y
_atom_site_fract_z
La1 La 0.000 0.000 0.000
H1 H 0.250 0.250 0.250
H2 H 0.750 0.750 0.750
```

---

Record 4
Density functional theory data (GGA-PBE) for NaSc3NbP3S3O24 after structural relaxation.

Summary:
Size of the total moment (μB/atom): 0.00
MP2020-corrected energy (eV/atom): -7.87
Crystal system: triclinic

```
data_NaSc3NbP3S3O24
_symmetry_space_group_name_H-M 'P 1'
_symmetry_Int_Tables_number 1
_cell_length_a 8.819
_cell_length_b 8.827
_cell_length_c 22.999
_cell_angle_alpha 89.79
_cell_angle_beta 89.79
_cell_angle_gamma 60.16
loop_
_symmetry_equiv_pos_as_xyz
'x,y,z'
loop_
_atom_site_label
_atom_site_type_symbol
_atom_site_fract_x
_atom_site_fract_y
_atom_site_fract_z
Na1 Na 0.000 0.000 0.000
Na2 Na 0.009 0.991 0.498
Na3 Na 0.344 0.327 0.834
Sc1 Sc 0.002 0.997 0.150
Sc2 Sc 0.008 0.987 0.351
Sc3 Sc 0.336 0.324 0.477
Sc4 Sc 0.339 0.324 0.980
Sc5 Sc 0.345 0.317 0.687
Sc6 Sc 0.656 0.668 0.523
Sc7 Sc 0.661 0.659 0.811
Sc8 Sc 0.678 0.644 0.022
Sc9 Sc 0.994 0.994 0.854
Nb1 Nb 0.011 0.983 0.650
Nb2 Nb 0.327 0.329 0.190
Nb3 Nb 0.663 0.655 0.310
P1 P 0.000 0.707 0.251
P2 P 0.049 0.323 0.083
P3 P 0.290 0.992 0.250
P4 P 0.294 0.698 0.753
P5 P 0.335 0.039 0.584
P6 P 0.378 0.660 0.418
P7 P 0.670 0.368 0.917
P8 P 0.712 0.991 0.752
P9 P 0.714 0.277 0.250
S1 S 0.004 0.282 0.751
S2 S 0.046 0.614 0.584
S3 S 0.334 0.616 0.084
S4 S 0.380 0.948 0.918
S5 S 0.625 0.036 0.084
S6 S 0.629 0.324 0.584
S7 S 0.671 0.946 0.417
S8 S 0.956 0.371 0.418
S9 S 0.960 0.658 0.917
O1 O 0.027 0.797 0.592
O2 O 0.031 0.161 0.092
O3 O 0.035 0.171 0.802
O4 O 0.038 0.780 0.305
O5 O 0.126 0.512 0.636
O6 O 0.130 0.355 0.423
O7 O 0.136 0.501 0.924
O8 O 0.146 0.346 0.138
O9 O 0.157 0.542 0.532
O10 O 0.160 0.299 0.742
O11 O 0.163 0.519 0.239
O12 O 0.166 0.295 0.030
O13 O 0.167 0.018 0.594
O14 O 0.175 0.789 0.804
O15 O 0.177 0.789 0.091
O16 O 0.181 0.029 0.305
O17 O 0.198 0.821 0.696
O18 O 0.198 0.824 0.410
O19 O 0.203 0.968 0.911
O20 O 0.218 0.955 0.196
O21 O 0.299 0.153 0.529
O22 O 0.307 0.522 0.741
O23 O 0.307 0.534 0.032
O24 O 0.320 0.151 0.239
O25 O 0.359 0.123 0.638
O26 O 0.360 0.126 0.923
O27 O 0.361 0.504 0.137
O28 O 0.366 0.495 0.425
O29 O 0.461 0.843 0.970
O30 O 0.467 0.689 0.471
O31 O 0.470 0.688 0.756
O32 O 0.479 0.833 0.262
O33 O 0.487 0.870 0.865
O34 O 0.491 0.633 0.078
O35 O 0.492 0.856 0.575
O36 O 0.499 0.637 0.363
O37 O 0.506 0.348 0.924
O38 O 0.514 0.119 0.424
O39 O 0.515 0.124 0.137
O40 O 0.522 0.352 0.636
O41 O 0.527 0.308 0.238
O42 O 0.533 0.155 0.742
O43 O 0.546 0.147 0.032
O44 O 0.552 0.291 0.532
O45 O 0.639 0.865 0.077
O46 O 0.643 0.482 0.863
O47 O 0.647 0.861 0.365
O48 O 0.653 0.475 0.576
O49 O 0.690 0.465 0.262
O50 O 0.696 0.454 0.972
O51 O 0.701 0.827 0.758
O52 O 0.701 0.837 0.469
O53 O 0.790 0.170 0.305
O54 O 0.798 0.026 0.804
O55 O 0.801 0.018 0.091
O56 O 0.808 0.164 0.592
O57 O 0.826 0.205 0.196
O58 O 0.827 0.967 0.410
O59 O 0.833 0.971 0.696
O60 O 0.835 0.185 0.911
O61 O 0.842 0.677 0.264
O62 O 0.847 0.452 0.756
O63 O 0.848 0.452 0.470
O64 O 0.852 0.687 0.970
O65 O 0.871 0.489 0.078
O66 O 0.871 0.639 0.575
O67 O 0.872 0.481 0.364
O68 O 0.880 0.632 0.865
O69 O 0.968 0.814 0.196
O70 O 0.974 0.196 0.410
O71 O 0.979 0.194 0.697
O72 O 0.981 0.815 0.912
```

---

Record 5
Density functional theory data (GGA-PBE) for Ba2CaTb2Ti3Cu2O14 after structural relaxation.

Summary:
Size of the total moment (μB/atom): 0.00
MP2020-corrected energy (eV/atom): -7.97
Crystal system: tetragonal

```
data_Ba2CaTb2Ti3Cu2O14
_symmetry_space_group_name_H-M 'P 1'
_symmetry_Int_Tables_number 1
_cell_length_a 3.905
_cell_length_b 3.905
_cell_length_c 19.879
_cell_angle_alpha 90.00
_cell_angle_beta 90.00
_cell_angle_gamma 90.00
loop_
_symmetry_equiv_pos_as_xyz
'x,y,z'
loop_
_atom_site_label
_atom_site_type_symbol
_atom_site_fract_x
_atom_site_fract_y
_atom_site_fract_z
Ba1 Ba 0.000 0.000 0.000
Ba2 Ba 0.000 0.000 0.371
Ca1 Ca 0.000 0.000 0.798
Tb1 Tb 0.000 0.000 0.187
Tb2 Tb 0.000 0.000 0.588
Ti1 Ti 0.500 0.500 0.488
Ti2 Ti 0.500 0.500 0.688
Ti3 Ti 0.500 0.500 0.888
Cu1 Cu 0.500 0.500 0.105
Cu2 Cu 0.500 0.500 0.268
O1 O 0.000 0.500 0.115
O2 O 0.000 0.500 0.260
O3 O 0.000 0.500 0.500
O4 O 0.000 0.500 0.677
O5 O 0.000 0.500 0.878
O6 O 0.500 0.000 0.115
O7 O 0.500 0.000 0.260
O8 O 0.500 0.000 0.500
O9 O 0.500 0.000 0.677
O10 O 0.500 0.000 0.878
O11 O 0.500 0.500 0.394
O12 O 0.500 0.500 0.589
O13 O 0.500 0.500 0.782
O14 O 0.500 0.500 0.982
```

---

Record 6
Density functional theory data (GGA-PBE) for Sr2Pr2Tl2Cu3O10 after structural relaxation.

Summary:
Size of the total moment (μB/atom): 0.00
MP2020-corrected energy (eV/atom): -6.27
Crystal system: tetragonal

```
data_Sr2Pr2Tl2Cu3O10
_symmetry_space_group_name_H-M 'P 1'
_symmetry_Int_Tables_number 1
_cell_length_a 18.012
_cell_length_b 18.012
_cell_length_c 18.012
_cell_angle_alpha 167.40
_cell_angle_beta 167.40
_cell_angle_gamma 17.86
loop_
_symmetry_equiv_pos_as_xyz
'x,y,z'
loop_
_atom_site_label
_atom_site_type_symbol
_atom_site_fract_x
_atom_site_fract_y
_atom_site_fract_z
Sr1 Sr 0.147 0.147 0.000
Sr2 Sr 0.853 0.853 0.000
Pr1 Pr 0.049 0.049 0.000
Pr2 Pr 0.951 0.951 0.000
Tl1 Tl 0.281 0.281 0.000
Tl2 Tl 0.719 0.719 0.000
Cu1 Cu 0.406 0.406 0.000
Cu2 Cu 0.500 0.500 0.000
Cu3 Cu 0.594 0.594 0.000
O1 O 0.000 0.500 0.500
O2 O 0.090 0.590 0.500
O3 O 0.220 0.220 0.000
O4 O 0.342 0.342 0.000
O5 O 0.410 0.910 0.500
O6 O 0.500 0.000 0.500
O7 O 0.590 0.090 0.500
O8 O 0.658 0.658 0.000
O9 O 0.780 0.780 0.000
O10 O 0.910 0.410 0.500
```

---

Quick rundown of ΔH_f (0 K), same order as above: -0.29; -1.96; -0.74; -2.79; -3.13; -2.09 eV per atom